[1]
{
  "formula": "Pr11Cd45",
  "functional": "r²SCAN",
  "state": "optimized geometry",
  "cell": [[-7.532, -0.657, 13.567], [-12.992, -8.415, 1.270], [0.039, -13.143, 8.275]],
  "species": ["Pr", "Pr", "Pr", "Pr", "Pr", "Pr", "Pr", "Pr", "Pr", "Pr", "Pr", "Pr", "Pr", "Pr", "Pr", "Pr", "Pr", "Pr", "Pr", "Pr", "Pr", "Pr", "Cd", "Cd", "Cd", "Cd", "Cd", "Cd", "Cd", "Cd", "Cd", "Cd", "Cd", "Cd", "Cd", "Cd", "Cd", "Cd", "Cd", "Cd", "Cd", "Cd", "Cd", "Cd", "Cd", "Cd", "Cd", "Cd", "Cd", "Cd", "Cd", "Cd", "Cd", "Cd", "Cd", "Cd", "Cd", "Cd", "Cd", "Cd", "Cd", "Cd", "Cd", "Cd", "Cd", "Cd", "Cd", "Cd", "Cd", "Cd", "Cd", "Cd", "Cd", "Cd", "Cd", "Cd", "Cd", "Cd", "Cd", "Cd", "Cd", "Cd", "Cd", "Cd", "Cd", "Cd", "Cd", "Cd", "Cd", "Cd", "Cd", "Cd", "Cd", "Cd", "Cd", "Cd", "Cd", "Cd", "Cd", "Cd", "Cd", "Cd", "Cd", "Cd", "Cd", "Cd", "Cd", "Cd", "Cd", "Cd", "Cd", "Cd"],
  "fractional_positions": [[0.000, 0.000, 0.000], [0.014, 0.332, 0.640], [0.014, 0.014, 0.640], [0.332, 0.014, 0.640], [0.014, 0.640, 0.332], [0.332, 0.640, 0.014], [0.014, 0.640, 0.014], [0.640, 0.014, 0.014], [0.640, 0.332, 0.014], [0.640, 0.014, 0.332], [0.332, 0.014, 0.014], [0.014, 0.014, 0.332], [0.014, 0.332, 0.014], [0.250, 0.250, 0.250], [0.407, 0.407, 0.780], [0.407, 0.780, 0.407], [0.780, 0.407, 0.407], [0.407, 0.407, 0.407], [0.662, 0.662, 0.013], [0.662, 0.013, 0.662], [0.013, 0.662, 0.662], [0.662, 0.662, 0.662], [0.083, 0.083, 0.751], [0.083, 0.751, 0.083], [0.751, 0.083, 0.083], [0.083, 0.083, 0.083], [0.912, 0.912, 0.265], [0.912, 0.265, 0.912], [0.265, 0.912, 0.912], [0.912, 0.912, 0.912], [0.157, 0.157, 0.843], [0.843, 0.157, 0.843], [0.157, 0.843, 0.843], [0.843, 0.843, 0.157], [0.157, 0.843, 0.157], [0.843, 0.157, 0.157], [0.391, 0.202, 0.017], [0.391, 0.391, 0.017], [0.202, 0.391, 0.017], [0.391, 0.017, 0.202], [0.202, 0.017, 0.391], [0.391, 0.017, 0.391], [0.017, 0.391, 0.391], [0.017, 0.202, 0.391], [0.017, 0.391, 0.202], [0.202, 0.391, 0.391], [0.391, 0.391, 0.202], [0.391, 0.202, 0.391], [0.164, 0.164, 0.508], [0.164, 0.508, 0.164], [0.508, 0.164, 0.164], [0.164, 0.164, 0.164], [0.263, 0.614, 0.860], [0.263, 0.263, 0.860], [0.614, 0.263, 0.860], [0.263, 0.860, 0.614], [0.614, 0.860, 0.263], [0.263, 0.860, 0.263], [0.860, 0.263, 0.263], [0.860, 0.614, 0.263], [0.860, 0.263, 0.614], [0.614, 0.263, 0.263], [0.263, 0.263, 0.614], [0.263, 0.614, 0.263], [0.500, 0.500, 0.500], [0.640, 0.451, 0.269], [0.640, 0.640, 0.269], [0.451, 0.640, 0.269], [0.640, 0.269, 0.451], [0.451, 0.269, 0.640], [0.640, 0.269, 0.640], [0.269, 0.640, 0.640], [0.269, 0.451, 0.640], [0.269, 0.640, 0.451], [0.451, 0.640, 0.640], [0.640, 0.640, 0.451], [0.640, 0.451, 0.640], [0.512, 0.833, 0.143], [0.512, 0.512, 0.143], [0.833, 0.512, 0.143], [0.512, 0.143, 0.833], [0.833, 0.143, 0.512], [0.512, 0.143, 0.512], [0.143, 0.512, 0.512], [0.143, 0.833, 0.512], [0.143, 0.512, 0.833], [0.833, 0.512, 0.512], [0.512, 0.512, 0.833], [0.512, 0.833, 0.512], [0.750, 0.750, 0.750], [0.830, 0.830, 0.509], [0.830, 0.509, 0.830], [0.509, 0.830, 0.830], [0.830, 0.830, 0.830], [0.912, 0.912, 0.588], [0.588, 0.912, 0.588], [0.912, 0.588, 0.588], [0.588, 0.588, 0.912], [0.912, 0.588, 0.912], [0.588, 0.912, 0.912], [0.763, 0.070, 0.404], [0.763, 0.763, 0.404], [0.070, 0.763, 0.404], [0.763, 0.404, 0.070], [0.070, 0.404, 0.763], [0.763, 0.404, 0.763], [0.404, 0.763, 0.763], [0.404, 0.070, 0.763], [0.404, 0.763, 0.070], [0.070, 0.763, 0.763], [0.763, 0.763, 0.070], [0.763, 0.070, 0.763]],
  "formation_energy_ev_per_fu": -17.90,
  "magnetic_moment_mub_per_cell": 0.000
}

=====

[2]
{
  "formula": "PrCd2",
  "functional": "r²SCAN",
  "state": "optimized geometry",
  "cell": [[-2.893, 3.685, 1.916], [-2.033, -3.479, -3.065], [-0.734, -2.025, 2.786]],
  "species": ["Pr", "Cd", "Cd"],
  "fractional_positions": [[0.000, 0.000, 0.000], [0.333, 0.667, 0.500], [0.667, 0.333, 0.500]],
  "formation_energy_ev_per_fu": -1.19,
  "magnetic_moment_mub_per_cell": 0.002
}

=====

[3]
{
  "formula": "Pr4CdPt",
  "functional": "r²SCAN",
  "state": "optimized geometry",
  "cell": [[0.000, 7.123, 7.123], [7.123, 0.000, 7.123], [7.123, 7.123, 0.000]],
  "species": ["Pr", "Pr", "Pr", "Pr", "Pr", "Pr", "Pr", "Pr", "Pr", "Pr", "Pr", "Pr", "Pr", "Pr", "Pr", "Pr", "Cd", "Cd", "Cd", "Cd", "Pt", "Pt", "Pt", "Pt"],
  "fractional_positions": [[0.350, 0.350, 0.350], [0.350, 0.350, 0.950], [0.350, 0.950, 0.350], [0.950, 0.350, 0.350], [0.808, 0.192, 0.192], [0.192, 0.808, 0.808], [0.192, 0.808, 0.192], [0.808, 0.192, 0.808], [0.192, 0.192, 0.808], [0.808, 0.808, 0.192], [0.937, 0.563, 0.563], [0.563, 0.937, 0.937], [0.563, 0.937, 0.563], [0.937, 0.563, 0.937], [0.563, 0.563, 0.937], [0.937, 0.937, 0.563], [0.580, 0.580, 0.580], [0.580, 0.580, 0.261], [0.580, 0.261, 0.580], [0.261, 0.580, 0.580], [0.143, 0.143, 0.143], [0.143, 0.143, 0.571], [0.143, 0.571, 0.143], [0.571, 0.143, 0.143]],
  "formation_energy_ev_per_fu": -3.50,
  "magnetic_moment_mub_per_cell": 0.001
}

=====

[4]
{
  "formula": "Pr2CdRh2",
  "functional": "r²SCAN",
  "state": "optimized geometry",
  "cell": [[7.583, 0.000, 0.000], [0.000, 7.583, 0.000], [0.000, 0.000, 3.975]],
  "species": ["Pr", "Pr", "Pr", "Pr", "Cd", "Cd", "Rh", "Rh", "Rh", "Rh"],
  "fractional_positions": [[0.671, 0.171, 0.500], [0.329, 0.829, 0.500], [0.171, 0.329, 0.500], [0.829, 0.671, 0.500], [0.000, 0.000, 0.000], [0.500, 0.500, 0.000], [0.130, 0.630, 0.000], [0.870, 0.370, 0.000], [0.630, 0.870, 0.000], [0.370, 0.130, 0.000]],
  "formation_energy_ev_per_fu": -3.02,
  "magnetic_moment_mub_per_cell": 0.000
}

=====

[5]
{
  "formula": "Pr2CdSn",
  "functional": "r²SCAN",
  "state": "optimized geometry",
  "cell": [[0.000, 3.874, 3.874], [3.874, 0.000, 3.874], [3.874, 3.874, 0.000]],
  "species": ["Pr", "Pr", "Cd", "Sn"],
  "fractional_positions": [[0.000, 0.000, 0.000], [0.500, 0.500, 0.500], [0.250, 0.250, 0.250], [0.750, 0.750, 0.750]],
  "formation_energy_ev_per_fu": -2.39,
  "magnetic_moment_mub_per_cell": 0.000
}

=====

[6]
{
  "formula": "YbPrCd2",
  "functional": "r²SCAN",
  "state": "optimized geometry",
  "cell": [[2.796, -1.922, -4.118], [2.938, -4.414, 0.598], [-1.504, -4.546, -2.356]],
  "species": ["Yb", "Pr", "Cd", "Cd"],
  "fractional_positions": [[0.000, 0.000, 0.000], [0.500, 0.500, 0.500], [0.250, 0.250, 0.250], [0.750, 0.750, 0.750]],
  "formation_energy_ev_per_fu": -1.42,
  "magnetic_moment_mub_per_cell": 0.004
}

=====

[7]
{
  "formula": "Sm4CdPt",
  "functional": "r²SCAN",
  "state": "optimized geometry",
  "cell": [[-6.931, -6.285, 3.111], [-7.826, 3.357, 4.969], [-8.904, -0.010, -4.235]],
  "species": ["Sm", "Sm", "Sm", "Sm", "Sm", "Sm", "Sm", "Sm", "Sm", "Sm", "Sm", "Sm", "Sm", "Sm", "Sm", "Sm", "Cd", "Cd", "Cd", "Cd", "Pt", "Pt", "Pt", "Pt"],
  "fractional_positions": [[0.351, 0.351, 0.351], [0.351, 0.351, 0.947], [0.351, 0.947, 0.351], [0.947, 0.351, 0.351], [0.809, 0.191, 0.191], [0.191, 0.809, 0.809], [0.191, 0.809, 0.191], [0.809, 0.191, 0.809], [0.191, 0.191, 0.809], [0.809, 0.809, 0.191], [0.936, 0.564, 0.564], [0.564, 0.936, 0.936], [0.564, 0.936, 0.564], [0.936, 0.564, 0.936], [0.564, 0.564, 0.936], [0.936, 0.936, 0.564], [0.581, 0.581, 0.581], [0.581, 0.581, 0.258], [0.581, 0.258, 0.581], [0.258, 0.581, 0.581], [0.143, 0.143, 0.143], [0.143, 0.143, 0.571], [0.143, 0.571, 0.143], [0.571, 0.143, 0.143]],
  "formation_energy_ev_per_fu": -3.84,
  "magnetic_moment_mub_per_cell": 0.000
}

=====

[8]
{
  "formula": "SrCdPt",
  "functional": "r²SCAN",
  "state": "optimized geometry",
  "cell": [[-2.932, 1.172, -3.184], [-5.513, 0.216, 5.156], [1.718, 8.339, 1.487]],
  "species": ["Sr", "Sr", "Sr", "Sr", "Cd", "Cd", "Cd", "Cd", "Pt", "Pt", "Pt", "Pt"],
  "fractional_positions": [[0.250, 0.029, 0.319], [0.250, 0.529, 0.181], [0.750, 0.971, 0.681], [0.750, 0.471, 0.819], [0.250, 0.145, 0.934], [0.250, 0.645, 0.566], [0.750, 0.855, 0.066], [0.750, 0.355, 0.434], [0.250, 0.270, 0.623], [0.250, 0.770, 0.877], [0.750, 0.730, 0.377], [0.750, 0.230, 0.123]],
  "formation_energy_ev_per_fu": -2.23,
  "magnetic_moment_mub_per_cell": 0.000
}